CeV2IO9 (PBE+U, optimized geometry); SG = Pbcm, No. 57; final energy = -6.9468 eV per atom; energy of formation = -2.2872 eV per atom
1.0
7.0509 0.0000 0.0000
0.0000 7.3131 0.0000
0.0000 0.0000 14.5636
Ce V I O
4 8 4 36
Cartesian
5.9443 1.8283 13.8154 Ce
1.1066 5.4848 0.7482 Ce
5.9443 5.4848 8.0300 Ce
1.1066 1.8283 6.5336 Ce
3.2624 0.0000 3.6409 V
3.7886 3.6566 10.9227 V
3.7886 0.0000 10.9227 V
3.2624 3.6566 3.6409 V
5.7704 1.8283 3.3378 V
1.2805 5.4848 11.2258 V
5.7704 5.4848 3.9440 V
1.2805 1.8283 10.6196 V
2.0884 1.8283 0.8573 I
4.9625 5.4848 13.7063 I
2.0884 5.4848 6.4245 I
4.9625 1.8283 8.1391 I
1.2110 0.5132 14.4364 O
5.8399 4.1697 0.1272 O
1.2110 6.7999 7.4090 O
5.8399 3.1434 7.1546 O
5.8399 6.7999 0.1272 O
1.2110 3.1434 14.4364 O
5.8399 0.5132 7.1546 O
1.2110 4.1697 7.4090 O
3.7167 1.8283 0.0346 O
3.3342 5.4848 14.5289 O
3.7167 5.4848 7.2472 O
3.3342 1.8283 7.3164 O
2.3200 6.9698 2.2257 O
4.7310 3.3132 12.3379 O
2.3200 0.3434 5.0561 O
4.7310 3.9999 9.5074 O
4.7310 0.3434 12.3379 O
2.3200 3.9999 2.2257 O
4.7310 6.9698 9.5074 O
2.3200 3.3132 5.0561 O
3.7658 5.4848 4.0735 O
3.2852 1.8283 10.4901 O
3.7658 1.8283 3.2083 O
3.2852 5.4848 11.3553 O
5.2342 0.0000 3.6409 O
1.8168 3.6566 10.9227 O
1.8168 0.0000 10.9227 O
5.2342 3.6566 3.6409 O
6.9839 1.8283 4.5289 O
0.0671 5.4848 10.0347 O
6.9839 5.4848 2.7529 O
0.0671 1.8283 11.8107 O
6.4619 1.8283 1.7977 O
0.5890 5.4848 12.7658 O
6.4619 5.4848 5.4841 O
0.5890 1.8283 9.0795 O